No. 1
Entry from Materials Project: crystalline Rb2W2O7 at its relaxed geometry (r2SCAN).

abc: 3.938 14.209 6.088
angles: 90.00 90.41 90.00
Sites, in units of the cell vectors:
1 Rb 0.010 0.172 0.331
2 Rb 0.010 0.328 0.831
3 Rb 0.990 0.672 0.169
4 Rb 0.990 0.828 0.669
5 W 0.448 0.562 0.716
6 W 0.448 0.938 0.216
7 W 0.552 0.062 0.784
8 W 0.552 0.438 0.284
9 O 0.010 0.053 0.777
10 O 0.010 0.447 0.277
11 O 0.495 0.578 0.413
12 O 0.495 0.680 0.805
13 O 0.495 0.820 0.305
14 O 0.495 0.922 0.913
15 O 0.500 0.000 0.500
16 O 0.500 0.500 0.000
17 O 0.505 0.078 0.087
18 O 0.505 0.180 0.695
19 O 0.505 0.320 0.195
20 O 0.505 0.422 0.587
21 O 0.990 0.553 0.723
22 O 0.990 0.947 0.223

The calculation puts the formation energy at -2.366 eV per atom. As for the uncorrected energy: -18.04 eV per atom.


No. 2
Entry from Materials Project: crystalline LiSiNi2 at its relaxed geometry (r2SCAN).

abc: 3.878 3.878 3.878
angles: 60.00 60.00 60.00
Sites, in units of the cell vectors:
1 Li 0.000 0.000 0.000
2 Si 0.500 0.500 0.500
3 Ni 0.250 0.250 0.250
4 Ni 0.750 0.750 0.750

The calculation puts the formation energy at -0.487 eV per atom. As for the uncorrected energy: -9.27 eV per atom.


No. 3
Entry from Materials Project: crystalline TlZn2Tc at its relaxed geometry (r2SCAN).

abc: 4.521 4.521 4.521
angles: 60.00 60.00 60.00
Sites, in units of the cell vectors:
1 Tl 0.000 0.000 0.000
2 Zn 0.250 0.250 0.250
3 Zn 0.500 0.500 0.500
4 Tc 0.750 0.750 0.750

The calculation puts the formation energy at 0.590 eV per atom. As for the uncorrected energy: -23.65 eV per atom.


No. 4
Entry from Materials Project: crystalline V3S4 at its relaxed geometry (r2SCAN).

abc: 9.078 9.078 3.246
angles: 90.00 90.00 120.00
Sites, in units of the cell vectors:
1 V 0.116 0.628 0.250
2 V 0.372 0.489 0.250
3 V 0.489 0.116 0.750
4 V 0.511 0.884 0.250
5 V 0.628 0.511 0.750
6 V 0.884 0.372 0.750
7 S 0.052 0.346 0.250
8 S 0.295 0.948 0.250
9 S 0.333 0.667 0.750
10 S 0.346 0.295 0.750
11 S 0.654 0.705 0.250
12 S 0.667 0.333 0.250
13 S 0.705 0.052 0.750
14 S 0.948 0.654 0.750

The calculation puts the formation energy at -1.136 eV per atom. As for the uncorrected energy: -11.77 eV per atom. The energy above the lowest structure with this stoichiometry comes out at 57.0 meV/atom.


No. 5
Entry from Materials Project: crystalline Ti2PbC at its relaxed geometry (r2SCAN).

abc: 3.219 3.219 13.869
angles: 90.00 90.00 120.00
Sites, in units of the cell vectors:
1 Ti 0.333 0.667 0.078
2 Ti 0.333 0.667 0.422
3 Ti 0.667 0.333 0.578
4 Ti 0.667 0.333 0.922
5 Pb 0.333 0.667 0.750
6 Pb 0.667 0.333 0.250
7 C 0.000 0.000 0.000
8 C 0.000 0.000 0.500

The calculation puts the formation energy at -0.662 eV per atom. As for the uncorrected energy: -23.69 eV per atom.


No. 6
Entry from Materials Project: crystalline Na2MnO3 at its relaxed geometry (r2SCAN).

abc: 5.176 5.176 5.572
angles: 99.14 99.14 120.02
Sites, in units of the cell vectors:
1 Na 0.000 0.000 0.000
2 Na 0.157 0.843 0.500
3 Na 0.500 0.500 0.500
4 Na 0.843 0.157 0.500
5 Mn 0.333 0.667 0.000
6 Mn 0.667 0.333 0.000
7 O 0.068 0.444 0.201
8 O 0.306 0.306 0.799
9 O 0.444 0.068 0.201
10 O 0.556 0.932 0.799
11 O 0.694 0.694 0.201
12 O 0.932 0.556 0.799

The calculation puts the formation energy at -2.033 eV per atom. As for the uncorrected energy: -8.65 eV per atom. The energy above the lowest structure with this stoichiometry comes out at 0.0 meV/atom.


No. 7
Entry from Materials Project: crystalline Nd3Cu at its relaxed geometry (r2SCAN).

abc: 6.015 6.015 6.015
angles: 134.27 134.27 66.67
Sites, in units of the cell vectors:
1 Nd 0.000 0.000 0.000
2 Nd 0.250 0.750 0.500
3 Nd 0.750 0.250 0.500
4 Cu 0.500 0.500 0.000

The calculation puts the formation energy at 0.169 eV per atom. As for the uncorrected energy: -24.61 eV per atom.


No. 8
Entry from Materials Project: crystalline TiFe2 at its relaxed geometry (r2SCAN).

abc: 4.846 4.846 7.838
angles: 90.00 90.00 120.00
Sites, in units of the cell vectors:
1 Ti 0.333 0.667 0.060
2 Ti 0.333 0.667 0.440
3 Ti 0.667 0.333 0.560
4 Ti 0.667 0.333 0.940
5 Fe 0.000 0.000 0.000
6 Fe 0.000 0.000 0.500
7 Fe 0.169 0.338 0.750
8 Fe 0.169 0.831 0.750
9 Fe 0.338 0.169 0.250
10 Fe 0.662 0.831 0.750
11 Fe 0.831 0.169 0.250
12 Fe 0.831 0.662 0.250

The calculation puts the formation energy at -0.204 eV per atom. As for the uncorrected energy: -14.13 eV per atom.


No. 9
Entry from Materials Project: crystalline HoCu4Ni at its relaxed geometry (r2SCAN).

abc: 4.909 4.909 4.026
angles: 90.00 90.00 120.00
Sites, in units of the cell vectors:
1 Ho 0.000 0.000 0.000
2 Cu 0.002 0.501 0.500
3 Cu 0.499 0.501 0.500
4 Cu 0.499 0.998 0.500
5 Cu 0.667 0.333 0.000
6 Ni 0.333 0.667 0.000

The calculation puts the formation energy at -0.239 eV per atom. As for the uncorrected energy: -14.95 eV per atom.


No. 10
Entry from Materials Project: crystalline EuCu4Pd at its relaxed geometry (r2SCAN).

abc: 5.155 5.155 4.123
angles: 90.00 90.00 120.00
Sites, in units of the cell vectors:
1 Eu 0.000 0.000 0.000
2 Cu 0.504 0.008 0.500
3 Cu 0.504 0.496 0.500
4 Cu 0.667 0.333 0.000
5 Cu 0.992 0.496 0.500
6 Pd 0.333 0.667 0.000

The calculation puts the formation energy at -0.241 eV per atom. As for the uncorrected energy: -17.72 eV per atom.


No. 11
Entry from Materials Project: crystalline YTaRu2 at its relaxed geometry (r2SCAN).

abc: 4.609 4.609 4.609
angles: 60.00 60.00 60.00
Sites, in units of the cell vectors:
1 Y 0.000 0.000 0.000
2 Ta 0.500 0.500 0.500
3 Ru 0.250 0.250 0.250
4 Ru 0.750 0.750 0.750

The calculation puts the formation energy at -0.376 eV per atom. As for the uncorrected energy: -30.31 eV per atom.


No. 12
Entry from Materials Project: crystalline U2P2O9 at its relaxed geometry (r2SCAN).

abc: 5.735 5.735 12.726
angles: 90.00 90.00 103.74
Sites, in units of the cell vectors:
1 U 0.209 0.791 0.930
2 U 0.291 0.709 0.430
3 U 0.709 0.291 0.570
4 U 0.791 0.209 0.070
5 P 0.109 0.891 0.643
6 P 0.391 0.609 0.143
7 P 0.609 0.391 0.857
8 P 0.891 0.109 0.357
9 O 0.000 0.000 0.000
10 O 0.014 0.647 0.586
11 O 0.058 0.942 0.377
12 O 0.140 0.860 0.760
13 O 0.147 0.514 0.086
14 O 0.353 0.986 0.586
15 O 0.360 0.640 0.260
16 O 0.442 0.558 0.877
17 O 0.486 0.853 0.086
18 O 0.500 0.500 0.500
19 O 0.514 0.147 0.914
20 O 0.558 0.442 0.123
21 O 0.640 0.360 0.740
22 O 0.647 0.014 0.414
23 O 0.853 0.486 0.914
24 O 0.860 0.140 0.240
25 O 0.942 0.058 0.623
26 O 0.986 0.353 0.414

The calculation puts the formation energy at -3.099 eV per atom. As for the uncorrected energy: -20.92 eV per atom.